Entry 1:
## InHg3 (PBE)

Data for crystalline InHg3 at its relaxed geometry.

Calculated values
SG: No. 194
DFT formation energy in meV per atom: 5

a = 6.7894 Å, b = 6.7894 Å, c = 5.4705 Å
α = 90.00°, β = 90.00°, γ = 120.00°
Element x y z (fractional)
In: 0.3333 0.6667 0.2500
In: 0.6667 0.3333 0.7500
Hg: 0.1667 0.3334 0.7500
Hg: 0.1667 0.8333 0.7500
Hg: 0.3334 0.1667 0.2500
Hg: 0.6666 0.8333 0.7500
Hg: 0.8333 0.1667 0.2500
Hg: 0.8333 0.6666 0.2500

Entry 2:
## LaInHg2 (PBE)

Data for crystalline LaInHg2 at its relaxed geometry.

Calculated values
SG: No. 225
DFT formation energy in meV per atom: -467

a = 5.3271 Å, b = 5.3271 Å, c = 5.3271 Å
α = 60.00°, β = 60.00°, γ = 60.00°
Element x y z (fractional)
La: 0.0000 0.0000 0.0000
In: 0.5000 0.5000 0.5000
Hg: 0.2500 0.2500 0.2500
Hg: 0.7500 0.7500 0.7500

Entry 3:
## LiInHg2 (PBE)

Data for crystalline LiInHg2 at its relaxed geometry.

Calculated values
SG: No. 225
DFT formation energy in meV per atom: -189

a = 5.0792 Å, b = 5.0792 Å, c = 5.0792 Å
α = 60.00°, β = 60.00°, γ = 60.00°
Element x y z (fractional)
Li: 0.0000 0.0000 0.0000
In: 0.5000 0.5000 0.5000
Hg: 0.2500 0.2500 0.2500
Hg: 0.7500 0.7500 0.7500

Entry 4:
## Li2InHg (PBE)

Data for crystalline Li2InHg at its relaxed geometry.

Calculated values
SG: No. 225
DFT formation energy in meV per atom: -321

a = 4.7282 Å, b = 4.7282 Å, c = 4.7282 Å
α = 60.00°, β = 60.00°, γ = 60.00°
Element x y z (fractional)
Li: 0.2500 0.2500 0.2500
Li: 0.7500 0.7500 0.7500
In: 0.0000 0.0000 0.0000
Hg: 0.5000 0.5000 0.5000

Entry 5:
## LiIn4Hg2O8 (PBE)

Data for crystalline LiIn4Hg2O8 at its relaxed geometry.

Calculated values
SG: No. 44
DFT formation energy in meV per atom: -1391

a = 6.8734 Å, b = 6.8734 Å, c = 6.8734 Å
α = 120.07°, β = 119.92°, γ = 90.01°
Element x y z (fractional)
Li: 0.0000 0.0000 0.0000
In: 0.1339 0.3990 0.2651
In: 0.1343 0.8684 0.2660
In: 0.1339 0.8688 0.7349
In: 0.6024 0.8684 0.7340
Hg: 0.5018 0.5018 0.0000
Hg: 0.7512 0.2512 0.5000
O: 0.3194 0.1072 0.2122
O: 0.3594 0.6427 0.7167
O: 0.3598 0.0772 0.7174
O: 0.3598 0.6424 0.2826
O: 0.8945 0.1077 0.2132
O: 0.8945 0.6812 0.7868
O: 0.8950 0.1072 0.7878
O: 0.9261 0.6427 0.2833

Entry 6:
## LiIn4Hg2O8 (PBE)

Data for crystalline LiIn4Hg2O8 at its relaxed geometry.

Calculated values
SG: No. 8
DFT formation energy in meV per atom: -1560

a = 6.5851 Å, b = 6.5851 Å, c = 6.8798 Å
α = 118.58°, β = 118.58°, γ = 60.02°
Element x y z (fractional)
Li: 0.0000 0.0000 0.0000
In: 0.0010 0.5009 0.0000
In: 0.5009 0.0010 0.0000
In: 0.5011 0.5011 0.0000
In: 0.5011 0.5011 0.5000
Hg: 0.1476 0.1476 0.4395
Hg: 0.8548 0.8548 0.5605
O: 0.2593 0.7132 0.2288
O: 0.2596 0.2596 0.2291
O: 0.2739 0.2739 0.8187
O: 0.2890 0.7425 0.7710
O: 0.7132 0.2593 0.2288
O: 0.7281 0.7281 0.1813
O: 0.7425 0.2890 0.7710
O: 0.7428 0.7428 0.7713

Entry 7:
## Lu2InHg (PBE)

Data for crystalline Lu2InHg at its relaxed geometry.

Calculated values
SG: No. 225
DFT formation energy in meV per atom: -416

a = 5.2073 Å, b = 5.2073 Å, c = 5.2073 Å
α = 60.00°, β = 60.00°, γ = 60.00°
Element x y z (fractional)
Lu: 0.2500 0.2500 0.2500
Lu: 0.7500 0.7500 0.7500
In: 0.0000 0.0000 0.0000
Hg: 0.5000 0.5000 0.5000

Entry 8:
## PmInHg2 (PBE)

Data for crystalline PmInHg2 at its relaxed geometry.

Calculated values
SG: No. 225
DFT formation energy in meV per atom: -396

a = 5.2409 Å, b = 5.2409 Å, c = 5.2409 Å
α = 60.00°, β = 60.00°, γ = 60.00°
Element x y z (fractional)
Pm: 0.0000 0.0000 0.0000
In: 0.5000 0.5000 0.5000
Hg: 0.2500 0.2500 0.2500
Hg: 0.7500 0.7500 0.7500